1.
DFT (GGA-PBE) results for a relaxed structure of Na9CaTa5Si9O36.

CIF file:
```
data_Na9CaTa5Si9O36
_cell_length_a 9.134
_cell_length_b 22.419
_cell_length_c 24.066
_cell_angle_alpha 89.96
_cell_angle_beta 79.08
_cell_angle_gamma 89.97
_symmetry_space_group_name_H-M 'P 1'
_symmetry_Int_Tables_number 1
_symmetry_space_group_name_Hall 'P 1'
loop_
_atom_site_label
_atom_site_fract_x
_atom_site_fract_y
_atom_site_fract_z
Na1 0.000 0.000 0.000
Na2 0.001 0.258 0.344
Na3 0.017 0.744 0.671
Na4 0.027 0.501 0.994
Na5 0.030 0.912 0.352
Na6 0.100 0.760 0.456
Na7 0.107 0.588 0.120
Na8 0.109 0.411 0.438
Na9 0.121 0.834 0.782
Na10 0.125 0.331 0.790
Na11 0.138 0.236 0.129
Na12 0.210 0.089 0.234
Na13 0.225 0.165 0.559
Na14 0.230 0.743 0.212
Na15 0.234 0.665 0.559
Na16 0.272 0.405 0.234
Na17 0.327 0.241 0.672
Na18 0.329 0.499 0.342
Na19 0.340 0.087 0.997
Na20 0.347 0.999 0.341
Na21 0.377 0.585 0.660
Na22 0.385 0.745 0.010
Na23 0.438 0.326 0.116
Na24 0.446 0.744 0.791
Na25 0.452 0.829 0.115
Na26 0.462 0.259 0.456
Na27 0.472 0.912 0.437
Na28 0.503 0.086 0.781
Na29 0.510 0.906 0.233
Na30 0.536 0.086 0.581
Na31 0.543 0.662 0.899
Na32 0.551 0.739 0.559
Na33 0.562 0.165 0.896
Na34 0.576 0.592 0.235
Na35 0.577 0.241 0.212
Na36 0.622 0.244 0.009
Na37 0.635 0.411 0.353
Na38 0.671 0.497 0.675
Na39 0.673 0.999 0.676
Na40 0.675 0.760 0.344
Na41 0.685 0.587 0.996
Na42 0.734 0.586 0.781
Na43 0.746 0.736 0.131
Na44 0.775 0.412 0.105
Na45 0.776 0.331 0.458
Na46 0.784 0.243 0.793
Na47 0.786 0.832 0.457
Na48 0.790 0.084 0.120
Na49 0.875 0.162 0.233
Na50 0.889 0.756 0.886
Na51 0.901 0.586 0.581
Na52 0.907 0.239 0.560
Na53 0.909 0.664 0.233
Na54 0.982 0.087 0.661
Ca1 0.334 0.853 0.345
Ca2 0.338 0.352 0.345
Ca3 0.447 0.681 0.117
Ca4 0.454 0.181 0.116
Ca5 0.670 0.645 0.673
Ca6 0.675 0.145 0.673
Ta1 0.005 0.858 0.005
Ta2 0.007 0.144 0.004
Ta3 0.008 0.644 0.005
Ta4 0.012 0.356 0.002
Ta5 0.115 0.973 0.788
Ta6 0.116 0.186 0.787
Ta7 0.116 0.472 0.787
Ta8 0.119 0.685 0.786
Ta9 0.222 0.021 0.566
Ta10 0.225 0.817 0.562
Ta11 0.230 0.521 0.566
Ta12 0.231 0.317 0.562
Ta13 0.336 0.146 0.343
Ta14 0.339 0.647 0.343
Ta15 0.446 0.980 0.117
Ta16 0.454 0.480 0.117
Ta17 0.555 0.312 0.898
Ta18 0.559 0.517 0.891
Ta19 0.564 0.813 0.898
Ta20 0.569 0.017 0.892
Ta21 0.672 0.350 0.673
Ta22 0.674 0.851 0.673
Ta23 0.781 0.680 0.452
Ta24 0.782 0.475 0.450
Ta25 0.785 0.180 0.452
Ta26 0.787 0.975 0.450
Ta27 0.893 0.017 0.230
Ta28 0.894 0.517 0.231
Ta29 0.894 0.810 0.228
Ta30 0.898 0.309 0.228
Si1 0.025 0.579 0.690
Si2 0.027 0.919 0.661
Si3 0.040 0.749 0.341
Si4 0.075 0.579 0.451
Si5 0.095 0.750 0.101
Si6 0.097 0.415 0.132
Si7 0.127 0.920 0.467
Si8 0.135 0.251 0.443
Si9 0.144 0.082 0.118
Si10 0.185 0.918 0.224
Si11 0.204 0.751 0.911
Si12 0.217 0.079 0.881
Si13 0.236 0.251 0.243
Si14 0.251 0.583 0.220
Si15 0.269 0.415 0.895
Si16 0.294 0.250 0.002
Si17 0.302 0.080 0.691
Si18 0.331 0.419 0.661
Si19 0.353 0.584 0.016
Si20 0.367 0.918 0.991
Si21 0.373 0.747 0.672
Si22 0.401 0.577 0.788
Si23 0.424 0.419 0.467
Si24 0.440 0.751 0.443
Si25 0.464 0.914 0.798
Si26 0.473 0.246 0.773
Si27 0.492 0.080 0.451
Si28 0.516 0.917 0.565
Si29 0.540 0.751 0.243
Si30 0.549 0.082 0.219
Si31 0.573 0.247 0.573
Si32 0.587 0.578 0.548
Si33 0.609 0.418 0.225
Si34 0.637 0.249 0.341
Si35 0.650 0.083 0.017
Si36 0.661 0.417 0.990
Si37 0.682 0.576 0.354
Si38 0.710 0.912 0.328
Si39 0.721 0.752 0.004
Si40 0.756 0.581 0.118
Si41 0.757 0.412 0.799
Si42 0.772 0.746 0.772
Si43 0.791 0.915 0.132
Si44 0.820 0.251 0.101
Si45 0.831 0.079 0.788
Si46 0.857 0.914 0.895
Si47 0.873 0.746 0.573
Si48 0.883 0.078 0.548
Si49 0.906 0.251 0.910
Si50 0.921 0.580 0.881
Si51 0.937 0.417 0.565
Si52 0.974 0.247 0.672
Si53 0.980 0.412 0.328
Si54 0.983 0.076 0.354
O1 0.009 0.244 0.847
O2 0.011 0.472 0.166
O3 0.036 0.243 0.732
O4 0.041 0.356 0.173
O5 0.041 0.475 0.575
O6 0.045 0.687 0.073
O7 0.049 0.359 0.553
O8 0.050 0.409 0.070
O9 0.052 0.763 0.564
O10 0.054 0.248 0.238
O11 0.055 0.803 0.060
O12 0.060 0.079 0.555
O13 0.068 0.919 0.725
O14 0.070 0.525 0.729
O15 0.072 0.642 0.721
O16 0.073 0.860 0.219
O17 0.075 0.562 0.235
O18 0.082 0.982 0.628
O19 0.086 0.085 0.057
O20 0.087 0.979 0.221
O21 0.103 0.809 0.365
O22 0.113 0.087 0.944
O23 0.118 0.866 0.621
O24 0.119 0.263 0.622
O25 0.125 0.811 0.941
O26 0.132 0.582 0.626
O27 0.137 0.416 0.952
O28 0.141 0.573 0.510
O29 0.141 0.694 0.952
O30 0.150 0.314 0.410
O31 0.151 0.423 0.330
O32 0.159 0.743 0.848
O33 0.162 0.088 0.350
O34 0.163 0.856 0.497
O35 0.166 0.695 0.334
O36 0.166 0.971 0.511
O37 0.173 0.585 0.015
O38 0.177 0.018 0.850
O39 0.182 0.251 0.506
O40 0.182 0.306 0.998
O41 0.185 0.910 0.002
O42 0.189 0.414 0.841
O43 0.192 0.136 0.840
O44 0.194 0.188 0.998
O45 0.209 0.591 0.397
O46 0.220 0.026 0.730
O47 0.223 0.143 0.720
O48 0.225 0.140 0.136
O49 0.226 0.419 0.725
O50 0.234 0.929 0.407
O51 0.235 0.198 0.405
O52 0.247 0.918 0.282
O53 0.249 0.743 0.733
O54 0.251 0.193 0.286
O55 0.253 0.641 0.181
O56 0.260 0.081 0.626
O57 0.267 0.026 0.112
O58 0.267 0.754 0.106
O59 0.271 0.311 0.273
O60 0.277 0.423 0.129
O61 0.278 0.763 0.622
O62 0.280 0.367 0.621
O63 0.286 0.521 0.794
O64 0.290 0.244 0.777
O65 0.291 0.917 0.790
O66 0.295 0.639 0.792
O67 0.308 0.483 0.629
O68 0.314 0.591 0.279
O69 0.324 0.919 0.169
O70 0.331 0.751 0.506
O71 0.340 0.247 0.181
O72 0.342 0.471 0.511
O73 0.354 0.255 0.060
O74 0.355 0.528 0.184
O75 0.358 0.356 0.497
O76 0.368 0.073 0.510
O77 0.372 0.533 0.065
O78 0.376 0.429 0.407
O79 0.378 0.698 0.405
O80 0.379 0.358 0.897
O81 0.381 0.472 0.895
O82 0.387 0.752 0.903
O83 0.393 0.079 0.888
O84 0.403 0.263 0.564
O85 0.403 0.579 0.555
O86 0.403 0.974 0.574
O87 0.413 0.091 0.397
O88 0.417 0.858 0.553
O89 0.418 0.647 0.031
O90 0.419 0.930 0.051
O91 0.420 0.973 0.947
O92 0.427 0.092 0.279
O93 0.437 0.250 0.949
O94 0.451 0.856 0.963
O95 0.456 0.566 0.955
O96 0.456 0.814 0.410
O97 0.458 0.686 0.651
O98 0.475 0.811 0.273
O99 0.479 0.076 0.687
O100 0.481 0.692 0.286
O101 0.482 0.027 0.185
O102 0.485 0.858 0.841
O103 0.488 0.418 0.282
O104 0.491 0.580 0.841
O105 0.491 0.800 0.682
O106 0.495 0.747 0.182
O107 0.505 0.407 0.665
O108 0.508 0.588 0.349
O109 0.516 0.975 0.826
O110 0.518 0.263 0.834
O111 0.519 0.195 0.334
O112 0.519 0.574 0.730
O113 0.532 0.298 0.724
O114 0.532 0.418 0.168
O115 0.537 0.923 0.330
O116 0.550 0.309 0.365
O117 0.553 0.186 0.608
O118 0.554 0.429 0.053
O119 0.560 0.185 0.756
O120 0.566 0.145 0.031
O121 0.573 0.901 0.737
O122 0.584 0.141 0.180
O123 0.587 0.033 0.067
O124 0.594 0.138 0.461
O125 0.594 0.905 0.619
O126 0.600 0.755 0.061
O127 0.605 0.021 0.441
O128 0.607 0.418 0.461
O129 0.609 0.064 0.956
O130 0.609 0.355 0.963
O131 0.610 0.735 0.451
O132 0.614 0.922 0.129
O133 0.638 0.570 0.607
O134 0.638 0.749 0.948
O135 0.642 0.925 0.506
O136 0.643 0.300 0.607
O137 0.644 0.255 0.106
O138 0.647 0.523 0.112
O139 0.648 0.473 0.948
O140 0.653 0.641 0.516
O141 0.655 0.639 0.135
O142 0.668 0.526 0.504
O143 0.671 0.762 0.835
O144 0.675 0.474 0.827
O145 0.676 0.243 0.508
O146 0.686 0.080 0.842
O147 0.698 0.357 0.842
O148 0.703 0.685 0.756
O149 0.708 0.480 0.222
O150 0.709 0.400 0.737
O151 0.710 0.513 0.385
O152 0.711 0.064 0.235
O153 0.727 0.748 0.238
O154 0.730 0.251 0.903
O155 0.730 0.361 0.218
O156 0.735 0.629 0.393
O157 0.737 0.580 0.888
O158 0.738 0.233 0.390
O159 0.739 0.969 0.894
O160 0.750 0.254 0.279
O161 0.751 0.911 0.392
O162 0.752 0.854 0.896
O163 0.764 0.798 0.724
O164 0.769 0.800 0.607
O165 0.771 0.075 0.730
O166 0.773 0.070 0.608
O167 0.777 0.577 0.288
O168 0.784 0.849 0.297
O169 0.805 0.405 0.619
O170 0.807 0.857 0.173
O171 0.811 0.963 0.289
O172 0.830 0.691 0.999
O173 0.832 0.086 0.015
O174 0.832 0.413 0.003
O175 0.833 0.743 0.508
O176 0.836 0.808 0.996
O177 0.837 0.973 0.166
O178 0.846 0.026 0.504
O179 0.846 0.300 0.681
O180 0.849 0.906 0.665
O181 0.850 0.140 0.516
O182 0.853 0.576 0.686
O183 0.856 0.575 0.169
O184 0.858 0.686 0.608
O185 0.866 0.253 0.165
O186 0.869 0.425 0.507
O187 0.874 0.585 0.057
O188 0.875 0.411 0.392
O189 0.891 0.130 0.393
O190 0.891 0.732 0.390
O191 0.894 0.309 0.063
O192 0.894 0.908 0.069
O193 0.905 0.190 0.071
O194 0.908 0.187 0.650
O195 0.917 0.463 0.289
O196 0.923 0.014 0.386
O197 0.930 0.140 0.793
O198 0.930 0.916 0.952
O199 0.931 0.194 0.951
O200 0.938 0.349 0.296
O201 0.938 0.418 0.790
O202 0.939 0.022 0.795
O203 0.944 0.312 0.942
O204 0.950 0.744 0.780
O205 0.950 0.918 0.461
O206 0.955 0.077 0.288
O207 0.957 0.235 0.452
O208 0.961 0.588 0.944
O209 0.963 0.638 0.461
O210 0.972 0.521 0.441
O211 0.982 0.640 0.842
O212 0.985 0.753 0.165
O213 0.989 0.753 0.279
O214 0.991 0.913 0.840
O215 0.993 0.520 0.849
O216 0.994 0.075 0.169
```

Results
Total energy: -7.65 eV/atom
Crystal system: triclinic


2.
DFT (GGA-PBE) results for a relaxed structure of Na2Ca2Ta3O10.

CIF file:
```
data_Na2Ca2Ta3O10
_cell_length_a 3.989
_cell_length_b 3.989
_cell_length_c 28.720
_cell_angle_alpha 90.00
_cell_angle_beta 90.00
_cell_angle_gamma 90.00
_symmetry_space_group_name_H-M 'I 4/m m m'
_symmetry_Int_Tables_number 139
_symmetry_space_group_name_Hall '-I 4 2'
loop_
_atom_site_label
_atom_site_fract_x
_atom_site_fract_y
_atom_site_fract_z
Na1 0.000 0.000 0.212
Ca1 0.000 0.000 0.076
Ta1 0.000 0.000 0.356
Ta2 0.000 0.000 0.500
O1 0.000 0.000 0.292
O2 0.000 0.000 0.432
O3 0.000 0.500 0.000
O4 0.000 0.500 0.133
```

Results
Total energy: -8.12 eV/atom
Crystal system: tetragonal


3.
DFT (GGA-PBE) results for a relaxed structure of Na2Ca3Ta2O9.

CIF file:
```
data_Na2Ca3Ta2O9
_cell_length_a 5.6882
_cell_length_b 5.6882
_cell_length_c 24.5642
_cell_angle_alpha 90.00
_cell_angle_beta 90.00
_cell_angle_gamma 120.00
_symmetry_space_group_name_H-M 'R 3 2'
_symmetry_Int_Tables_number 155
_symmetry_space_group_name_Hall 'R 3 2"'
loop_
_atom_site_label
_atom_site_fract_x
_atom_site_fract_y
_atom_site_fract_z
Na1 0.0000 0.0000 0.1995
Ca1 0.0000 0.0000 0.3715
Ca2 0.0000 0.0000 0.5000
Ta1 0.0000 0.0000 0.0641
O1 0.0000 0.7416 0.0000
O2 0.0147 0.5855 0.7720
```

Results
Total energy: -7.55 eV/atom
Crystal system: trigonal


4.
DFT (GGA-PBE) results for a relaxed structure of NaCa2Ta3O10.

CIF file:
```
data_NaCa2Ta3O10
_cell_length_a 3.946
_cell_length_b 3.946
_cell_length_c 29.382
_cell_angle_alpha 90.00
_cell_angle_beta 90.00
_cell_angle_gamma 90.00
_symmetry_space_group_name_H-M 'I -4 m 2'
_symmetry_Int_Tables_number 119
_symmetry_space_group_name_Hall 'I -4 -2'
loop_
_atom_site_label
_atom_site_fract_x
_atom_site_fract_y
_atom_site_fract_z
Na1 0.000 0.000 0.000
Ca1 0.000 0.500 0.672
Ta1 0.000 0.500 0.104
Ta2 0.000 0.500 0.250
O1 0.000 0.000 0.118
O2 0.000 0.000 0.250
O3 0.000 0.000 0.381
O4 0.000 0.500 0.043
O5 0.000 0.500 0.183
```

Results
Total energy: -8.53 eV/atom
Crystal system: tetragonal